1.
The following is a GGA+U calculation of a relaxed structure of V3OF11, from Materials Project.

a = 5.2681 Å, b = 5.4509 Å, c = 14.7328 Å
α = 79.64°, β = 89.98°, γ = 89.91°
Closest atoms and distances in Å follow each position.
Atoms (fractional coordinates):
V  0.0000  0.0000  0.0000  6 F 1.76-1.97
V  0.0038  0.3316  0.3349  4 F 1.76-1.96
V  0.4923  0.1557  0.6659  4 F 1.77-1.97
V  0.5000  0.5001  0.0000  6 F 1.76-1.97
V  0.5088  0.8337  0.3274  1 O 1.62
V  0.9765  0.6267  0.6698  1 O 1.65, 2 F 1.77
O  0.5823  0.8783  0.2190  1 V 1.62
O  0.7959  0.3751  0.6893  1 V 1.65
F  0.0825  0.2917  0.4526  1 V 1.76
F  0.0861  0.9585  0.1178  1 V 1.77
F  0.0922  0.6355  0.7821  1 V 1.77
F  0.1984  0.3104  0.9752  2 V 1.97
F  0.2070  0.6383  0.3091  2 V 1.96
F  0.2070  0.9733  0.6433  1 V 1.87
F  0.2876  0.4712  0.6429  2 V 1.92-2.00
F  0.2984  0.1369  0.3093  2 V 1.95-1.97
F  0.3017  0.8102  0.9755  2 V 1.96
F  0.4120  0.7905  0.4495  1 V 1.84
F  0.4136  0.4572  0.1178  1 V 1.77
F  0.4237  0.1291  0.7848  1 V 1.77
F  0.5875  0.5425  0.8826  1 V 1.76
F  0.5884  0.2168  0.5489  1 V 1.77
F  0.6986  0.1900  0.0249  2 V 1.96
F  0.7028  0.5305  0.3595  2 V 1.93-1.99
F  0.7106  0.8576  0.6916  2 V 1.95-1.97
F  0.7926  0.0273  0.3599  2 V 1.94-1.98
F  0.8017  0.6897  0.0251  2 V 1.97
F  0.9127  0.3757  0.2179  1 V 1.76
F  0.9135  0.0420  0.8825  1 V 1.76
F  0.9271  0.7277  0.5502  1 V 1.77

Energy = -5.69 eV/atom
Calculated volume = 13.872 Å³ per atom
Symmetry = No. 1
Total magnetization = 2.0 μB/f.u.
Energy above the lowest structure with this stoichiometry = 31 meV/atom
ΔH_f (0 K) = -2.87 eV/atom


2.
The following is a GGA+U calculation of a relaxed structure of Li9Mn7O16, from Materials Project.

a = 5.0776 Å, b = 5.1080 Å, c = 12.0471 Å
α = 78.30°, β = 81.51°, γ = 79.09°
Closest atoms and distances in Å follow each position.
Atoms (fractional coordinates):
Li  0.0000  0.0000  0.0000  6 O 2.07-2.22
Li  0.2316  0.4344  0.0548  6 O 2.03-2.28
Li  0.2413  0.1835  0.3029  6 O 2.11-2.36
Li  0.2437  0.9324  0.5544  5 O 2.11-2.13
Li  0.2481  0.6876  0.8181  5 O 1.99-2.23
Li  0.7519  0.3124  0.1819  5 O 1.99-2.23
Li  0.7563  0.0676  0.4456  5 O 2.11-2.13
Li  0.7587  0.8165  0.6971  6 O 2.11-2.36
Li  0.7684  0.5656  0.9452  6 O 2.03-2.28
Mn  0.0000  0.5000  0.5000  4 O 1.95-1.97
Mn  0.0084  0.2540  0.7626  4 O 1.91-2.00
Mn  0.4934  0.6227  0.3700  4 O 1.94-1.99
Mn  0.4968  0.8687  0.1164  6 O 1.89-2.04
Mn  0.5032  0.1313  0.8836  6 O 1.89-2.04
Mn  0.5066  0.3773  0.6300  4 O 1.94-1.99
Mn  0.9916  0.7460  0.2374  4 O 1.91-2.00
O  0.1332  0.0634  0.1590  2 Mn 1.91-1.97, 2 Li 2.12-2.13
O  0.1341  0.8200  0.4104  2 Mn 1.95, 3 Li 2.11-2.15
O  0.1444  0.5719  0.6629  2 Mn 1.94-1.99, 2 Li 2.13-2.15
O  0.1563  0.3373  0.9084  1 Mn 1.89, 3 Li 1.99-2.07
O  0.3569  0.5519  0.2094  2 Mn 1.95-1.96, 2 Li 2.13-2.16
O  0.3645  0.3006  0.4657  2 Mn 1.97, 2 Li 2.12
O  0.3865  0.0606  0.7385  3 Mn 1.99-2.04, 2 Li 2.11-2.15
O  0.3965  0.8083  0.9772  2 Mn 1.92, 2 Li 2.07-2.08
O  0.6036  0.1917  0.0228  2 Mn 1.92, 2 Li 2.07-2.08
O  0.6135  0.9394  0.2615  3 Mn 1.99-2.04, 2 Li 2.11-2.15
O  0.6355  0.6994  0.5343  2 Mn 1.97, 2 Li 2.12
O  0.6431  0.4481  0.7906  2 Mn 1.95-1.96, 2 Li 2.13-2.16
O  0.8437  0.6627  0.0916  1 Mn 1.89, 3 Li 1.99-2.07
O  0.8556  0.4281  0.3371  2 Mn 1.94-1.99, 2 Li 2.13-2.15
O  0.8659  0.1800  0.5896  2 Mn 1.95, 3 Li 2.11-2.15
O  0.8668  0.9366  0.8410  2 Mn 1.91-1.97, 2 Li 2.12-2.13

Energy = -6.45 eV/atom
Calculated volume = 9.328 Å³ per atom
Symmetry = No. 2
Total magnetization = 26.0 μB/f.u.
Energy above the lowest structure with this stoichiometry = 1 meV/atom
ΔH_f (0 K) = -2.14 eV/atom